The following is a r2SCAN calculation of an optimized crystal structure of MnAl12Fe, from the Materials Project database.

- total DFT energy (no corrections) (eV per atom) = -7.99
- calculated formation energy (eV/atom) = -0.141
- crystal system = orthorhombic

abc: 8.707 4.898 4.898
angles: 98.56 90.00 90.00
Fractional positions:
Mn 0.000 0.000 0.000
Al 0.000 0.489 0.855
Al 0.000 0.855 0.489
Al 0.150 0.317 0.317
Al 0.251 0.139 0.788
Al 0.251 0.788 0.139
Al 0.349 0.608 0.608
Al 0.500 0.068 0.435
Al 0.500 0.435 0.068
Al 0.651 0.608 0.608
Al 0.749 0.139 0.788
Al 0.749 0.788 0.139
Al 0.850 0.317 0.317
Fe 0.500 0.923 0.923

---

The following is a r2SCAN calculation of an optimized crystal structure of HfO2, from the Materials Project database.

- total DFT energy (no corrections) (eV per atom) = -22.93
- calculated formation energy (eV/atom) = -3.897
- crystal system = orthorhombic

abc: 5.141 5.259 10.094
angles: 90.00 90.00 90.00
Fractional positions:
Hf 0.041 0.157 0.138
Hf 0.041 0.343 0.638
Hf 0.459 0.657 0.138
Hf 0.459 0.843 0.638
Hf 0.541 0.157 0.362
Hf 0.541 0.343 0.862
Hf 0.959 0.657 0.362
Hf 0.959 0.843 0.862
O 0.169 0.667 0.534
O 0.169 0.833 0.034
O 0.248 0.588 0.776
O 0.248 0.912 0.276
O 0.252 0.088 0.776
O 0.252 0.412 0.276
O 0.331 0.167 0.534
O 0.331 0.333 0.034
O 0.669 0.667 0.966
O 0.669 0.833 0.466
O 0.748 0.588 0.724
O 0.748 0.912 0.224
O 0.752 0.088 0.724
O 0.752 0.412 0.224
O 0.831 0.167 0.966
O 0.831 0.333 0.466

---

no.,magnetization (μB per formula unit)
1,0.00
2,0.00